# Cs4PbBr6 (meta-GGA r2SCAN, optimized geometry)
# Size of the total moment   0.0 μB per cell
# Space-group type   R-3c (167)
# Formation enthalpy at 0 K   -1.799 eV/atom
data_Cs4PbBr6
_space_group_name_H-M_alt 'P 1'
_space_group_IT_number 1
_cell_length_a 9.8830
_cell_length_b 9.8830
_cell_length_c 9.8830
_cell_angle_alpha 88.93
_cell_angle_beta 88.93
_cell_angle_gamma 88.93
loop_
_space_group_symop_operation_xyz
'x,y,z'
loop_
_atom_site_label
_atom_site_type_symbol
_atom_site_fract_x
_atom_site_fract_y
_atom_site_fract_z
Br1 Br 0.9273 0.7068 0.0624
Br2 Br 0.4376 0.7932 0.5727
Br3 Br 0.4273 0.5624 0.2068
Br4 Br 0.2932 0.9376 0.0727
Br5 Br 0.9376 0.0727 0.2932
Br6 Br 0.5727 0.4376 0.7932
Br7 Br 0.5624 0.2068 0.4273
Br8 Br 0.0624 0.9273 0.7068
Br9 Br 0.7932 0.5727 0.4376
Br10 Br 0.7068 0.0624 0.9273
Br11 Br 0.0727 0.2932 0.9376
Br12 Br 0.2068 0.4273 0.5624
Cs1 Cs 0.2500 0.2500 0.2500
Cs2 Cs 0.2500 0.6260 0.8740
Cs3 Cs 0.3740 0.1260 0.7500
Cs4 Cs 0.1260 0.7500 0.3740
Cs5 Cs 0.7500 0.7500 0.7500
Cs6 Cs 0.6260 0.8740 0.2500
Cs7 Cs 0.7500 0.3740 0.1260
Cs8 Cs 0.8740 0.2500 0.6260
Pb1 Pb 0.5000 0.5000 0.5000
Pb2 Pb 0.0000 0.0000 0.0000

# Co7Sb2O12 (meta-GGA r2SCAN, optimized geometry)
# Size of the total moment   42.0 μB per cell
# Space-group type   C2/c (15)
# Formation enthalpy at 0 K   -1.322 eV/atom
data_Co7Sb2O12
_space_group_name_H-M_alt 'P 1'
_space_group_IT_number 1
_cell_length_a 6.0788
_cell_length_b 6.0788
_cell_length_c 13.3080
_cell_angle_alpha 78.19
_cell_angle_beta 78.19
_cell_angle_gamma 90.39
loop_
_space_group_symop_operation_xyz
'x,y,z'
loop_
_atom_site_label
_atom_site_type_symbol
_atom_site_fract_x
_atom_site_fract_y
_atom_site_fract_z
O1 O 0.3968 0.4034 0.6686
O2 O 0.3962 0.9545 0.6647
O3 O 0.9216 0.3960 0.6733
O4 O 0.5966 0.6032 0.8314
O5 O 0.9183 0.9368 0.6742
O6 O 0.0817 0.0632 0.3258
O7 O 0.3960 0.9216 0.1733
O8 O 0.6032 0.5966 0.3314
O9 O 0.7183 0.2509 0.5048
O10 O 0.2817 0.7491 0.4952
O11 O 0.0632 0.0817 0.8258
O12 O 0.9545 0.3962 0.1647
O13 O 0.6040 0.0784 0.8267
O14 O 0.2509 0.7183 0.0048
O15 O 0.7552 0.7558 0.4900
O16 O 0.0455 0.6038 0.8353
O17 O 0.7491 0.2817 0.9952
O18 O 0.6038 0.0455 0.3353
O19 O 0.2448 0.2442 0.5100
O20 O 0.7558 0.7552 0.9900
O21 O 0.2442 0.2448 0.0100
O22 O 0.4034 0.3968 0.1686
O23 O 0.9368 0.9183 0.1742
O24 O 0.0784 0.6040 0.3267
Co1 Co 0.7050 0.9807 0.0790
Co2 Co 0.6422 0.3578 0.2500
Co3 Co 0.3393 0.8152 0.3397
Co4 Co 0.0193 0.2950 0.4210
Co5 Co 0.2950 0.0193 0.9210
Co6 Co 0.5000 0.5000 0.5000
Co7 Co 0.1848 0.6607 0.1603
Co8 Co 0.0000 0.5000 0.0000
Co9 Co 0.9807 0.7050 0.5790
Co10 Co 0.3578 0.6422 0.7500
Co11 Co 0.8152 0.3393 0.8397
Co12 Co 0.6607 0.1848 0.6603
Co13 Co 0.5000 0.5000 0.0000
Co14 Co 0.5000 0.0000 0.5000
Sb1 Sb 0.1806 0.1639 0.1644
Sb2 Sb 0.8194 0.8361 0.8356
Sb3 Sb 0.1639 0.1806 0.6644
Sb4 Sb 0.8361 0.8194 0.3356

# Zr6Ga2Ni (meta-GGA r2SCAN, optimized geometry)
# Size of the total moment   0.0 μB per cell
# Space-group type   P-62m (189)
# Formation enthalpy at 0 K   -0.453 eV/atom
data_Zr6Ga2Ni
_space_group_name_H-M_alt 'P 1'
_space_group_IT_number 1
_cell_length_a 7.8177
_cell_length_b 7.8177
_cell_length_c 3.3874
_cell_angle_alpha 90.00
_cell_angle_beta 90.00
_cell_angle_gamma 120.00
loop_
_space_group_symop_operation_xyz
'x,y,z'
loop_
_atom_site_label
_atom_site_type_symbol
_atom_site_fract_x
_atom_site_fract_y
_atom_site_fract_z
Zr1 Zr 0.0000 0.2526 0.5000
Zr2 Zr 0.4050 0.4050 0.0000
Zr3 Zr 0.7474 0.7474 0.5000
Zr4 Zr 0.0000 0.5950 0.0000
Zr5 Zr 0.5950 0.0000 0.0000
Zr6 Zr 0.2526 0.0000 0.5000
Ni1 Ni 0.0000 0.0000 0.0000
Ga1 Ga 0.3333 0.6667 0.5000
Ga2 Ga 0.6667 0.3333 0.5000

# TiP2O7 (meta-GGA r2SCAN, optimized geometry)
# Size of the total moment   0.0 μB per cell
# Space-group type   P2_1/c (14)
# Formation enthalpy at 0 K   -2.709 eV/atom
data_TiP2O7
_space_group_name_H-M_alt 'P 1'
_space_group_IT_number 1
_cell_length_a 5.1715
_cell_length_b 8.7271
_cell_length_c 13.1733
_cell_angle_alpha 63.56
_cell_angle_beta 90.00
_cell_angle_gamma 90.00
loop_
_space_group_symop_operation_xyz
'x,y,z'
loop_
_atom_site_label
_atom_site_type_symbol
_atom_site_fract_x
_atom_site_fract_y
_atom_site_fract_z
O1 O 0.9769 0.2390 0.8580
O2 O 0.7361 0.5176 0.3764
O3 O 0.9557 0.7387 0.6200
O4 O 0.2206 0.1667 0.2398
O5 O 0.0231 0.7610 0.1420
O6 O 0.7794 0.8333 0.7602
O7 O 0.7461 0.0265 0.0564
O8 O 0.2539 0.9735 0.9436
O9 O 0.4445 0.2871 0.5457
O10 O 0.0311 0.7050 0.4226
O11 O 0.4689 0.7050 0.9226
O12 O 0.9689 0.2950 0.5774
O13 O 0.5231 0.2390 0.3580
O14 O 0.4769 0.7610 0.6420
O15 O 0.5311 0.2950 0.0774
O16 O 0.5443 0.7387 0.1200
O17 O 0.2639 0.4824 0.6236
O18 O 0.5555 0.7129 0.4543
O19 O 0.0443 0.2613 0.3800
O20 O 0.4557 0.2613 0.8800
O21 O 0.2794 0.1667 0.7398
O22 O 0.7206 0.8333 0.2602
O23 O 0.0555 0.2871 0.0457
O24 O 0.2361 0.4824 0.1236
O25 O 0.2461 0.9735 0.4436
O26 O 0.7639 0.5176 0.8764
O27 O 0.7539 0.0265 0.5564
O28 O 0.9445 0.7129 0.9543
Ti1 Ti 0.7520 0.2723 0.9644
Ti2 Ti 0.7480 0.2723 0.4644
Ti3 Ti 0.2480 0.7277 0.0356
Ti4 Ti 0.2520 0.7277 0.5356
P1 P 0.7367 0.6843 0.8848
P2 P 0.2393 0.1599 0.8613
P3 P 0.2607 0.1599 0.3613
P4 P 0.2367 0.3157 0.6152
P5 P 0.7633 0.6843 0.3848
P6 P 0.7393 0.8401 0.6387
P7 P 0.2633 0.3157 0.1152
P8 P 0.7607 0.8401 0.1387

# Bi3ClO4 (meta-GGA r2SCAN, optimized geometry)
# Size of the total moment   0.0 μB per cell
# Formation enthalpy at 0 K   -1.368 eV/atom
data_Bi3ClO4
_space_group_name_H-M_alt 'P 1'
_space_group_IT_number 1
_cell_length_a 9.9138
_cell_length_b 9.9138
_cell_length_c 5.5461
_cell_angle_alpha 73.33
_cell_angle_beta 73.33
_cell_angle_gamma 32.48
loop_
_space_group_symop_operation_xyz
'x,y,z'
loop_
_atom_site_label
_atom_site_type_symbol
_atom_site_fract_x
_atom_site_fract_y
_atom_site_fract_z
Bi1 Bi 0.6083 0.1087 0.8964
Bi2 Bi 0.8913 0.3917 0.6036
Bi3 Bi 0.2497 0.7503 0.7500
Bi4 Bi 0.7503 0.2497 0.2500
Bi5 Bi 0.1087 0.6083 0.3964
Bi6 Bi 0.3917 0.8913 0.1036
O1 O 0.5817 0.5815 0.4162
O2 O 0.9185 0.9183 0.0841
O3 O 0.0815 0.0817 0.9159
O4 O 0.5815 0.5817 0.9162
O5 O 0.4183 0.4185 0.5838
O6 O 0.4185 0.4183 0.0838
O7 O 0.9183 0.9185 0.5841
O8 O 0.0817 0.0815 0.4159
Cl1 Cl 0.0000 0.5000 0.0000
Cl2 Cl 0.5000 0.0000 0.5000

# Na2HF4 (meta-GGA r2SCAN, optimized geometry)
# Size of the total moment   1.0 μB per cell
# Space-group type   P2/m (10)
# Formation enthalpy at 0 K   -2.173 eV/atom
data_Na2HF4
_space_group_name_H-M_alt 'P 1'
_space_group_IT_number 1
_cell_length_a 4.6610
_cell_length_b 9.3630
_cell_length_c 8.6859
_cell_angle_alpha 21.92
_cell_angle_beta 39.14
_cell_angle_gamma 43.98
loop_
_space_group_symop_operation_xyz
'x,y,z'
loop_
_atom_site_label
_atom_site_type_symbol
_atom_site_fract_x
_atom_site_fract_y
_atom_site_fract_z
Na1 Na 0.0000 0.5000 0.0000
Na2 Na 0.0000 0.0000 0.0000
F1 F 0.4190 0.0000 0.4248
F2 F 0.5810 0.0000 0.5753
F3 F 0.5790 0.5000 0.5944
F4 F 0.4210 0.5000 0.4056
H1 H 0.5000 0.5000 0.5000

# CaInPt (meta-GGA r2SCAN, optimized geometry)
# Size of the total moment   0.0 μB per cell
# Space-group type   Pnma (62)
# Formation enthalpy at 0 K   -0.944 eV/atom
data_CaInPt
_space_group_name_H-M_alt 'P 1'
_space_group_IT_number 1
_cell_length_a 4.4333
_cell_length_b 7.2923
_cell_length_c 8.3459
_cell_angle_alpha 90.00
_cell_angle_beta 90.00
_cell_angle_gamma 90.00
loop_
_space_group_symop_operation_xyz
'x,y,z'
loop_
_atom_site_label
_atom_site_type_symbol
_atom_site_fract_x
_atom_site_fract_y
_atom_site_fract_z
Ca1 Ca 0.2500 0.0294 0.6779
Ca2 Ca 0.2500 0.5294 0.8221
Ca3 Ca 0.7500 0.9706 0.3221
Ca4 Ca 0.7500 0.4706 0.1779
In1 In 0.7500 0.3508 0.5652
In2 In 0.2500 0.6492 0.4348
In3 In 0.7500 0.8508 0.9348
In4 In 0.2500 0.1492 0.0652
Pt1 Pt 0.2500 0.7691 0.1222
Pt2 Pt 0.7500 0.7309 0.6222
Pt3 Pt 0.7500 0.2309 0.8778
Pt4 Pt 0.2500 0.2691 0.3778

# Ca4Si3Pd4 (meta-GGA r2SCAN, optimized geometry)
# Size of the total moment   0.0 μB per cell
# Space-group type   C2/c (15)
# Formation enthalpy at 0 K   -0.840 eV/atom
data_Ca4Si3Pd4
_space_group_name_H-M_alt 'P 1'
_space_group_IT_number 1
_cell_length_a 10.8206
_cell_length_b 10.8206
_cell_length_c 7.8170
_cell_angle_alpha 71.45
_cell_angle_beta 71.45
_cell_angle_gamma 30.49
loop_
_space_group_symop_operation_xyz
'x,y,z'
loop_
_atom_site_label
_atom_site_type_symbol
_atom_site_fract_x
_atom_site_fract_y
_atom_site_fract_z
Pd1 Pd 0.6975 0.4257 0.9758
Pd2 Pd 0.3025 0.5743 0.0242
Pd3 Pd 0.6417 0.9146 0.3200
Pd4 Pd 0.0854 0.3583 0.1800
Pd5 Pd 0.9146 0.6417 0.8200
Pd6 Pd 0.3583 0.0854 0.6800
Pd7 Pd 0.4257 0.6975 0.4758
Pd8 Pd 0.5743 0.3025 0.5242
Ca1 Ca 0.4553 0.2055 0.9067
Ca2 Ca 0.7945 0.5447 0.5933
Ca3 Ca 0.7990 0.0654 0.1733
Ca4 Ca 0.2055 0.4553 0.4067
Ca5 Ca 0.5447 0.7945 0.0933
Ca6 Ca 0.9346 0.2010 0.3267
Ca7 Ca 0.2010 0.9346 0.8267
Ca8 Ca 0.0654 0.7990 0.6733
Si1 Si 0.6161 0.3839 0.7500
Si2 Si 0.0390 0.3052 0.9334
Si3 Si 0.6948 0.9610 0.5666
Si4 Si 0.3839 0.6161 0.2500
Si5 Si 0.9610 0.6948 0.0666
Si6 Si 0.3052 0.0390 0.4334

size of the total moment of number 8 (Ca4Si3Pd4)?
0.0 μB per cell

Look up the size of the total moment of the fifth one.
0.0 μB per cell